# Mg14ZnCO16 | the Materials Project | PBE | optimized geometry
data_Mg14ZnCO16
_space_group_name_H-M_alt 'P 4/m m m'
_space_group_IT_number 123
_space_group_name_Hall '-P 4 2'
_cell_length_a 8.520
_cell_length_b 8.520
_cell_length_c 4.244
_cell_angle_alpha 90.00
_cell_angle_beta 90.00
_cell_angle_gamma 90.00
loop_
_atom_site_label
_atom_site_fract_x
_atom_site_fract_y
_atom_site_fract_z
_atom_site_occupancy
Mg1 0.000 0.247 0.000 1
Mg2 0.000 0.500 0.500 1
Mg3 0.248 0.248 0.500 1
Mg4 0.250 0.500 0.000 1
Zn1 0.500 0.500 0.500 1
C1 0.000 0.000 0.500 1
O1 0.000 0.000 0.000 1
O2 0.000 0.251 0.500 1
O3 0.000 0.500 0.000 1
O4 0.246 0.500 0.500 1
O5 0.250 0.250 0.000 1
O6 0.500 0.500 0.000 1
# - E_form (eV per atom) = -2.64
# - total energy (eV/atom) = -5.80
# - polymorph energy (0 for the lowest one) (meV per atom) = 3


# RbMg6C | the Materials Project | PBE | optimized geometry
data_RbMg6C
_space_group_name_H-M_alt 'A m m 2'
_space_group_IT_number 38
_cell_length_a 3.417
_cell_length_b 5.817
_cell_length_c 22.479
_cell_angle_alpha 90.00
_cell_angle_beta 90.00
_cell_angle_gamma 90.00
loop_
_space_group_symop_operation_xyz
'x,y,z'
'-x,-y,z'
'-x,y,z'
'x,-y,z'
'x,y+1/2,z+1/2'
'-x,-y+1/2,z+1/2'
'-x,y+1/2,z+1/2'
'x,-y+1/2,z+1/2'
loop_
_atom_site_label
_atom_site_fract_x
_atom_site_fract_y
_atom_site_fract_z
_atom_site_occupancy
Rb1 0.000 0.000 0.000 1
Mg1 0.000 0.246 0.243 1
Mg2 0.500 0.000 0.146 1
Mg3 0.500 0.000 0.630 1
Mg4 0.500 0.237 0.352 1
C1 0.000 0.000 0.325 1
# - E_form (eV per atom) = 0.38
# - total energy (eV/atom) = -2.09
# - polymorph energy (0 for the lowest one) (meV per atom) = 15